1.
# PBE EuZn, optimized geometry
data_EuZn
_space_group_name_H-M_alt 'P m -3 m'
_space_group_IT_number 221
_space_group_name_Hall '-P 4 2 3'
_cell_length_a 3.766
_cell_length_b 3.766
_cell_length_c 3.766
_cell_angle_alpha 90.00
_cell_angle_beta 90.00
_cell_angle_gamma 90.00
loop_
_atom_site_label
_atom_site_fract_x
_atom_site_fract_y
_atom_site_fract_z
Eu1 0.000 0.000 0.000
Zn1 0.500 0.500 0.500
# V = 26.712 A^3/atom
# DFT total energy = -6.03 eV/atom
# Energy of formation = -0.27 eV/atom

---

2.
# PBE Eu3Zr, optimized geometry
data_Eu3Zr
_space_group_name_H-M_alt 'P m -3 m'
_space_group_IT_number 221
_space_group_name_Hall '-P 4 2 3'
_cell_length_a 5.234
_cell_length_b 5.234
_cell_length_c 5.234
_cell_angle_alpha 90.00
_cell_angle_beta 90.00
_cell_angle_gamma 90.00
loop_
_atom_site_label
_atom_site_fract_x
_atom_site_fract_y
_atom_site_fract_z
Eu1 0.000 0.000 0.500
Zr1 0.500 0.500 0.500
# V = 35.854 A^3/atom
# Excess energy over the best structure of this formula in the dataset = 13 meV per atom
# Total moment = 23.3 μB per cell
# DFT total energy = -9.50 eV/atom
# Energy of formation = 0.33 eV/atom